[1]
First-principles (PBE+U) data for crystalline Gd2Mo5O18 at its relaxed geometry, as listed in the Materials Project database.

Calculated values
SG: Pbcn (60)

Cell lengths 9.5019, 9.5926, 19.5392 Å; angles 90.00, 90.00, 90.00 degrees
Fractional positions:
Gd1 0.0269 0.2319 0.6149
Gd2 0.9731 0.7681 0.3851
Gd3 0.5269 0.7681 0.6149
Gd4 0.4731 0.7319 0.1149
Gd5 0.5269 0.2681 0.8851
Gd6 0.9731 0.2681 0.1149
Gd7 0.0269 0.7319 0.8851
Gd8 0.4731 0.2319 0.3851
Mo1 0.8235 0.1323 0.3011
Mo2 0.2500 0.9645 0.5000
Mo3 0.6765 0.6323 0.8011
Mo4 0.3235 0.8677 0.3011
Mo5 0.1765 0.8677 0.6989
Mo6 0.2500 0.4645 0.0000
Mo7 0.3235 0.3677 0.1989
Mo8 0.4380 0.3581 0.5898
Mo9 0.7500 0.0355 0.5000
Mo10 0.0620 0.8581 0.0898
Mo11 0.0620 0.3581 0.4102
Mo12 0.7500 0.5355 0.0000
Mo13 0.9380 0.6419 0.5898
Mo14 0.9380 0.1419 0.9102
Mo15 0.5620 0.1419 0.0898
Mo16 0.8235 0.6323 0.1989
Mo17 0.6765 0.1323 0.6989
Mo18 0.5620 0.6419 0.4102
Mo19 0.1765 0.3677 0.8011
Mo20 0.4380 0.8581 0.9102
O1 0.3579 0.3244 0.7952
O2 0.4342 0.7467 0.3568
O3 0.1128 0.0712 0.5330
O4 0.1478 0.5442 0.8241
O5 0.5131 0.6585 0.4965
O6 0.0658 0.2467 0.8568
O7 0.6846 0.6418 0.0698
O8 0.1846 0.3582 0.0698
O9 0.7644 0.7043 0.5987
O10 0.3872 0.5712 0.0330
O11 0.8579 0.1756 0.7048
O12 0.5592 0.9652 0.1162
O13 0.6128 0.9288 0.5330
O14 0.0131 0.3415 0.4965
O15 0.8938 0.6541 0.2812
O16 0.2356 0.7957 0.0987
O17 0.1478 0.0442 0.6759
O18 0.0592 0.5348 0.3838
O19 0.4869 0.8415 0.9965
O20 0.0592 0.0348 0.1162
O21 0.2644 0.7957 0.9013
O22 0.7356 0.2043 0.0987
O23 0.7644 0.2043 0.9013
O24 0.6062 0.6541 0.7188
O25 0.8154 0.6418 0.9302
O26 0.1421 0.8244 0.2952
O27 0.6478 0.9558 0.6759
O28 0.4342 0.2467 0.1432
O29 0.3579 0.8244 0.7048
O30 0.5592 0.4652 0.3838
O31 0.0131 0.8415 0.0035
O32 0.6062 0.1541 0.7812
O33 0.6128 0.4288 0.9670
O34 0.9869 0.1585 0.9965
O35 0.4408 0.5348 0.6162
O36 0.5131 0.1585 0.0035
O37 0.4869 0.3415 0.5035
O38 0.9408 0.9652 0.8838
O39 0.3154 0.3582 0.9302
O40 0.3938 0.8459 0.2188
O41 0.9869 0.6585 0.5035
O42 0.6478 0.4558 0.8241
O43 0.6421 0.1756 0.2952
O44 0.2644 0.2957 0.5987
O45 0.6846 0.1418 0.4302
O46 0.1421 0.3244 0.2048
O47 0.2356 0.2957 0.4013
O48 0.1062 0.3459 0.7188
O49 0.8522 0.4558 0.1759
O50 0.3154 0.8582 0.5698
O51 0.8522 0.9558 0.3241
O52 0.3522 0.5442 0.1759
O53 0.3522 0.0442 0.3241
O54 0.6421 0.6756 0.2048
O55 0.9408 0.4652 0.6162
O56 0.3872 0.0712 0.4670
O57 0.9342 0.2533 0.3568
O58 0.5658 0.7533 0.8568
O59 0.1846 0.8582 0.4302
O60 0.4408 0.0348 0.8838
O61 0.8154 0.1418 0.5698
O62 0.8872 0.4288 0.0330
O63 0.7356 0.7043 0.4013
O64 0.5658 0.2533 0.6432
O65 0.0658 0.7467 0.6432
O66 0.3938 0.3459 0.2812
O67 0.8579 0.6756 0.7952
O68 0.1128 0.5712 0.9670
O69 0.8872 0.9288 0.4670
O70 0.9342 0.7533 0.1432
O71 0.8938 0.1541 0.2188
O72 0.1062 0.8459 0.7812

[2]
First-principles (PBE+U) data for crystalline MgNb4Ni2O12 at its relaxed geometry, as listed in the Materials Project database.

Calculated values
SG: P2 (3)

Cell lengths 4.9502, 4.9350, 9.2009 Å; angles 90.00, 90.00, 90.09 degrees
Fractional positions:
Mg1 0.5000 0.0000 0.4117
Nb1 0.0000 0.0000 0.9907
Nb2 0.0000 0.0000 0.3036
Nb3 0.5000 0.5000 0.8425
Nb4 0.5000 0.5000 0.5305
Ni1 0.0000 0.0000 0.6653
Ni2 0.5000 0.5000 0.1676
O1 0.2052 0.7924 0.8375
O2 0.2134 0.8013 0.1617
O3 0.2139 0.7890 0.4915
O4 0.2916 0.2955 0.9964
O5 0.2858 0.2904 0.3416
O6 0.2991 0.2887 0.6724
O7 0.7084 0.7045 0.9964
O8 0.7142 0.7096 0.3416
O9 0.7009 0.7113 0.6724
O10 0.7948 0.2076 0.8375
O11 0.7866 0.1987 0.1617
O12 0.7861 0.2110 0.4915

[3]
First-principles (PBE+U) data for crystalline Sr2YV2O7 at its relaxed geometry, as listed in the Materials Project database.

Calculated values
SG: Ima2 (46)

Cell lengths 13.3801, 13.3801, 13.3801 Å; angles 157.36, 156.45, 32.90 degrees
Fractional positions:
Sr1 0.8230 0.7522 0.9426
Sr2 0.1904 0.2478 0.0708
Sr3 0.6904 0.6196 0.9426
Sr4 0.3230 0.3804 0.0708
Y1 0.5156 0.5000 0.0156
Y2 0.0156 0.0000 0.0156
V1 0.4352 0.9273 0.5244
V2 0.5971 0.0727 0.5079
V3 0.0971 0.5892 0.5244
V4 0.9352 0.4108 0.5079
O1 0.0106 0.5140 0.0245
O2 0.5106 0.4860 0.4966
O3 0.2133 0.1976 0.5149
O4 0.3173 0.8024 0.0158
O5 0.8173 0.8015 0.5149
O6 0.7133 0.1985 0.0158
O7 0.7082 0.6919 0.5174
O8 0.8256 0.3081 0.0164
O9 0.3256 0.3092 0.5174
O10 0.2082 0.6908 0.0164
O11 0.8686 0.3225 0.4923
O12 0.1698 0.6775 0.5461
O13 0.6698 0.1237 0.4923
O14 0.3686 0.8763 0.5461

[4]
First-principles (PBE+U) data for crystalline CoP4O12 at its relaxed geometry, as listed in the Materials Project database.

Calculated values
SG: C2/c (15)

Cell lengths 7.0634, 7.0634, 9.4742 Å; angles 88.09, 88.09, 109.09 degrees
Fractional positions:
Co1 0.8878 0.1122 0.7500
Co2 0.1122 0.8878 0.2500
P1 0.7940 0.7265 0.5298
P2 0.7265 0.7940 0.0298
P3 0.7182 0.3703 0.9643
P4 0.6297 0.2818 0.5357
P5 0.3703 0.7182 0.4643
P6 0.2818 0.6297 0.0357
P7 0.2735 0.2060 0.9702
P8 0.2060 0.2735 0.4702
O1 0.9329 0.7217 0.4073
O2 0.8735 0.8622 0.6475
O3 0.7759 0.6080 0.9638
O4 0.8622 0.8735 0.1475
O5 0.6942 0.5029 0.5999
O6 0.8654 0.3387 0.8536
O7 0.7217 0.9329 0.9073
O8 0.6080 0.7759 0.4638
O9 0.7289 0.2791 0.3949
O10 0.7209 0.2711 0.1051
O11 0.6613 0.1346 0.6464
O12 0.5029 0.6942 0.0999
O13 0.4971 0.3058 0.9001
O14 0.3387 0.8654 0.3536
O15 0.2791 0.7289 0.8949
O16 0.2711 0.7209 0.6051
O17 0.3920 0.2241 0.5362
O18 0.2783 0.0671 0.0927
O19 0.1346 0.6613 0.1464
O20 0.3058 0.4971 0.4001
O21 0.1378 0.1265 0.8525
O22 0.2241 0.3920 0.0362
O23 0.1265 0.1378 0.3525
O24 0.0671 0.2783 0.5927

VASP energy for every record listed, in sequence, given in eV per atom: -8.123 -7.667 -7.366 -6.781.
Volume for every record listed, in sequence, given in Å³/f.u.: 445.2 224.8 184.1 223.0.